ErMo6Se8 | the Materials Project database | PBE-GGA | optimized geometry; E_form = -0.942 eV per atom
1.0
4.767 2.752 3.956
-4.767 2.752 3.956
0.000 -5.504 3.956
Er Mo Se
1 6 8
direct
0.000 0.000 0.000
0.233 0.423 0.558
0.423 0.558 0.233
0.442 0.767 0.577
0.558 0.233 0.423
0.577 0.442 0.767
0.767 0.577 0.442
0.123 0.756 0.368
0.236 0.236 0.236
0.244 0.632 0.877
0.368 0.123 0.756
0.632 0.877 0.244
0.756 0.368 0.123
0.764 0.764 0.764
0.877 0.244 0.632

---

Er2Si4Mo3 | the Materials Project database | PBE-GGA | optimized geometry; E_form = -0.688 eV per atom
1.0
6.842 0.000 0.000
0.000 6.907 0.000
-2.184 0.000 6.353
Er Si Mo
4 8 6
direct
0.191 0.170 0.061
0.191 0.330 0.561
0.809 0.670 0.439
0.809 0.830 0.939
0.090 0.544 0.868
0.090 0.956 0.368
0.496 0.632 0.629
0.496 0.868 0.129
0.504 0.132 0.871
0.504 0.368 0.371
0.910 0.044 0.632
0.910 0.456 0.132
0.248 0.663 0.250
0.248 0.837 0.750
0.500 0.000 0.500
0.500 0.500 0.000
0.752 0.163 0.250
0.752 0.337 0.750

---

Er6Si11N20O | the Materials Project database | PBE-GGA | optimized geometry; E_form = -1.461 eV per atom
1.0
9.832 0.000 0.000
-4.916 8.515 0.000
0.000 0.000 10.678
Er Si N O
12 22 40 2
direct
0.129 0.262 0.000
0.134 0.871 0.000
0.197 0.797 0.326
0.203 0.401 0.326
0.262 0.129 0.500
0.401 0.203 0.826
0.599 0.803 0.326
0.738 0.866 0.000
0.797 0.197 0.826
0.803 0.599 0.826
0.866 0.738 0.500
0.871 0.134 0.500
0.000 0.000 0.260
0.000 0.000 0.760
0.010 0.536 0.571
0.132 0.574 0.833
0.158 0.341 0.683
0.183 0.842 0.683
0.333 0.667 0.134
0.341 0.158 0.183
0.426 0.558 0.833
0.442 0.868 0.833
0.464 0.474 0.571
0.474 0.464 0.071
0.526 0.990 0.571
0.536 0.010 0.071
0.558 0.426 0.333
0.574 0.132 0.333
0.659 0.817 0.683
0.667 0.333 0.634
0.817 0.659 0.183
0.842 0.183 0.183
0.868 0.442 0.333
0.990 0.526 0.071
0.000 0.000 0.423
0.000 0.000 0.923
0.008 0.430 0.939
0.015 0.176 0.203
0.087 0.723 0.813
0.096 0.480 0.689
0.108 0.742 0.541
0.161 0.985 0.203
0.171 0.685 0.115
0.176 0.015 0.703
0.258 0.365 0.541
0.277 0.364 0.813
0.315 0.486 0.115
0.333 0.667 0.869
0.364 0.277 0.313
0.365 0.258 0.041
0.384 0.904 0.689
0.422 0.992 0.939
0.430 0.008 0.439
0.480 0.096 0.189
0.486 0.315 0.615
0.514 0.829 0.115
0.520 0.616 0.689
0.570 0.578 0.939
0.578 0.570 0.439
0.616 0.520 0.189
0.635 0.892 0.541
0.636 0.913 0.813
0.667 0.333 0.369
0.685 0.171 0.615
0.723 0.087 0.313
0.742 0.108 0.041
0.824 0.839 0.203
0.829 0.514 0.615
0.839 0.824 0.703
0.892 0.635 0.041
0.904 0.384 0.189
0.913 0.636 0.313
0.985 0.161 0.703
0.992 0.422 0.439
0.333 0.667 0.305
0.667 0.333 0.805

---

ErUN2 | the Materials Project database | PBE-GGA | optimized geometry; E_form = -1.702 eV per atom
1.0
3.438 0.000 0.000
0.000 3.438 0.000
0.000 0.000 4.828
Er U N
1 1 2
direct
0.000 0.000 0.000
0.500 0.500 0.500
0.000 0.000 0.500
0.500 0.500 0.000

---

Question: Which value of E_form does entry 1 give?
Answer: -0.942 eV per atom